{
  "formula": "BiSbTe3",
  "functional": "r²SCAN",
  "state": "relaxed",
  "lattice_angstrom": [[10.720, -2.182, 0.040], [10.720, 2.182, 0.040], [10.261, 0.000, 3.792]],
  "species": ["Bi", "Sb", "Te", "Te", "Te"],
  "fractional_positions": [[0.604, 0.604, 0.604], [0.397, 0.397, 0.397], [0.002, 0.002, 0.002], [0.216, 0.216, 0.216], [0.782, 0.782, 0.782]],
  "sg": "No. 160",
  "magnetic_moment_mub_per_cell": 0.00,
  "crystal_system": "trigonal",
  "formation_enthalpy_0k_ev_per_atom": -0.1993
}



{
  "formula": "Sc5Bi3",
  "functional": "r²SCAN",
  "state": "relaxed",
  "lattice_angstrom": [[7.830, 0.000, 0.000], [0.000, 8.957, 0.000], [0.000, 0.000, 11.337]],
  "species": ["Sc", "Sc", "Sc", "Sc", "Sc", "Sc", "Sc", "Sc", "Sc", "Sc", "Sc", "Sc", "Sc", "Sc", "Sc", "Sc", "Sc", "Sc", "Sc", "Sc", "Bi", "Bi", "Bi", "Bi", "Bi", "Bi", "Bi", "Bi", "Bi", "Bi", "Bi", "Bi"],
  "fractional_positions": [[0.193, 0.065, 0.064], [0.307, 0.065, 0.564], [0.307, 0.435, 0.564], [0.324, 0.750, 0.269], [0.479, 0.750, 0.994], [0.160, 0.250, 0.787], [0.807, 0.935, 0.936], [0.660, 0.750, 0.713], [0.021, 0.750, 0.494], [0.693, 0.935, 0.436], [0.193, 0.435, 0.064], [0.340, 0.250, 0.287], [0.176, 0.750, 0.769], [0.979, 0.250, 0.506], [0.693, 0.565, 0.436], [0.676, 0.250, 0.731], [0.807, 0.565, 0.936], [0.521, 0.250, 0.006], [0.824, 0.250, 0.231], [0.840, 0.750, 0.213], [0.064, 0.491, 0.324], [0.564, 0.509, 0.176], [0.402, 0.750, 0.526], [0.936, 0.991, 0.676], [0.436, 0.009, 0.824], [0.564, 0.991, 0.176], [0.098, 0.750, 0.026], [0.436, 0.491, 0.824], [0.064, 0.009, 0.324], [0.936, 0.509, 0.676], [0.598, 0.250, 0.474], [0.902, 0.250, 0.974]],
  "sg": "No. 62",
  "magnetic_moment_mub_per_cell": 5.66,
  "crystal_system": "orthorhombic",
  "formation_enthalpy_0k_ev_per_atom": -0.6831
}



{
  "formula": "Bi4Se3",
  "functional": "r²SCAN",
  "state": "relaxed",
  "lattice_angstrom": [[13.938, -2.143, 0.037], [13.938, 2.143, 0.037], [13.599, 0.000, 3.733]],
  "species": ["Bi", "Bi", "Bi", "Bi", "Se", "Se", "Se"],
  "fractional_positions": [[0.711, 0.711, 0.711], [0.289, 0.289, 0.289], [0.854, 0.854, 0.854], [0.146, 0.146, 0.146], [0.000, 0.000, 0.000], [0.586, 0.586, 0.586], [0.414, 0.414, 0.414]],
  "sg": "No. 166",
  "magnetic_moment_mub_per_cell": 0.00,
  "crystal_system": "trigonal",
  "formation_enthalpy_0k_ev_per_atom": -0.3033
}



{
  "formula": "BiSe2",
  "functional": "r²SCAN",
  "state": "relaxed",
  "lattice_angstrom": [[0.766, 0.497, -8.607], [0.951, -3.615, -7.806], [-9.062, -2.002, -8.200]],
  "species": ["Bi", "Bi", "Bi", "Bi", "Se", "Se", "Se", "Se", "Se", "Se", "Se", "Se"],
  "fractional_positions": [[0.696, 0.696, 0.912], [0.304, 0.304, 0.088], [0.386, 0.386, 0.405], [0.614, 0.614, 0.595], [0.036, 0.036, 0.058], [0.964, 0.964, 0.942], [0.914, 0.914, 0.548], [0.086, 0.086, 0.452], [0.657, 0.657, 0.159], [0.343, 0.343, 0.841], [0.208, 0.208, 0.655], [0.792, 0.792, 0.345]],
  "sg": "No. 12",
  "magnetic_moment_mub_per_cell": 0.00,
  "crystal_system": "monoclinic",
  "formation_enthalpy_0k_ev_per_atom": -0.3406
}



Repeat the fourth record exactly.
{
  "formula": "BiSe2",
  "functional": "r²SCAN",
  "state": "relaxed",
  "lattice_angstrom": [[0.766, 0.497, -8.607], [0.951, -3.615, -7.806], [-9.062, -2.002, -8.200]],
  "species": ["Bi", "Bi", "Bi", "Bi", "Se", "Se", "Se", "Se", "Se", "Se", "Se", "Se"],
  "fractional_positions": [[0.696, 0.696, 0.912], [0.304, 0.304, 0.088], [0.386, 0.386, 0.405], [0.614, 0.614, 0.595], [0.036, 0.036, 0.058], [0.964, 0.964, 0.942], [0.914, 0.914, 0.548], [0.086, 0.086, 0.452], [0.657, 0.657, 0.159], [0.343, 0.343, 0.841], [0.208, 0.208, 0.655], [0.792, 0.792, 0.345]],
  "sg": "No. 12",
  "magnetic_moment_mub_per_cell": 0.00,
  "crystal_system": "monoclinic",
  "formation_enthalpy_0k_ev_per_atom": -0.3406
}